Record 1
# PrAl

Crystalline PrAl at its relaxed geometry (r2SCAN, the Materials Project database).

Total energy ... -18.432 eV/atom
Formation enthalpy at 0 K ... -0.3641 eV per atom

abc: 3.760 3.760 3.760
angles: 90.00 90.00 90.00
Space group Pm-3m (No. 221)
Inequivalent atoms, fractional coordinates:
Pr  0.000  0.000  0.000 x1
Al  0.500  0.500  0.500 x1

Record 2
# PrAlPt

Crystalline PrAlPt at its relaxed geometry (r2SCAN, the Materials Project database).

Total energy ... -30.327 eV/atom
Formation enthalpy at 0 K ... -1.1195 eV per atom

abc: 7.241 4.495 7.828
angles: 90.00 90.00 90.00
Space group Pnma (No. 62)
Inequivalent atoms, fractional coordinates:
Pr  0.029  0.250  0.182 x4
Al  0.143  0.250  0.568 x4
Pt  0.214  0.750  0.389 x4

Look up the formation enthalpy at 0 K of the first one.
-0.3641 eV per atom

Which value of formation enthalpy at 0 K does entry 1 give?
-0.3641 eV per atom

Which of these has the lowest total energy?
PrAlPt